This record from the Materials Project describes a relaxed Na2MoSeO6 crystal. The functional is PBE with a Hubbard U.

Summary:
Crystal system: cubic
Formation enthalpy at 0 K (meV per atom): -1900
Electronic total energy (eV per atom): -5.83
Total moment (μB/atom): 0.000
Maximum piezoelectric response (C/m2): 0.30
Space group: P2_13 (198)

Cell lengths 8.483, 8.483, 8.483 Å; angles 90.00, 90.00, 90.00 degrees
Positions (direct):
Na: 0.252 0.252 0.252
Mo: 0.992 0.508 0.492
O: 0.485 0.424 0.190
O: 0.690 0.015 0.576
O: 0.004 0.256 0.099
O: 0.515 0.924 0.310
Na: 0.967 0.033 0.533
O: 0.756 0.401 0.996
O: 0.901 0.504 0.244
O: 0.424 0.190 0.485
O: 0.310 0.515 0.924
O: 0.576 0.690 0.015
O: 0.599 0.496 0.744
Na: 0.033 0.533 0.967
O: 0.401 0.996 0.756
Se: 0.173 0.827 0.327
O: 0.076 0.810 0.985
O: 0.496 0.744 0.599
Na: 0.533 0.967 0.033
Mo: 0.008 0.008 0.008
O: 0.244 0.901 0.504
Na: 0.467 0.467 0.467
Mo: 0.508 0.492 0.992
O: 0.744 0.599 0.496
O: 0.810 0.985 0.076
O: 0.099 0.004 0.256
O: 0.996 0.756 0.401
Na: 0.248 0.748 0.752
O: 0.985 0.076 0.810
O: 0.015 0.576 0.690
Na: 0.748 0.752 0.248
Se: 0.827 0.327 0.173
O: 0.190 0.485 0.424
O: 0.504 0.244 0.901
Na: 0.752 0.248 0.748
O: 0.924 0.310 0.515
Se: 0.673 0.673 0.673
O: 0.256 0.099 0.004
Mo: 0.492 0.992 0.508
Se: 0.327 0.173 0.827